(1)
La6Ti3Se9O5 | PBE | optimized geometry

Values from the calculation:
Total magnetic moment ... 3.7 Bohr magnetons per cell
Raw total energy ... -0.261 Ha/atom
Formation energy ... -2.500 eV per atom
Energy above the most stable polymorph in this dataset ... 7.0 kJ/mol of formula units
Calculated volume ... 984.2 Å³ per cell

Unit cell a=3.9283 b=11.2571 c=22.5091 alpha=83.03 beta=85.01 gamma=89.99
Closest atoms and distances in Å follow each position.
Space group P1 (No. 1)
One atom of each set of equivalent atoms:
La (0.0000, 0.0000, 0.0000) (multiplicity 1)  5 O 2.47-2.69
La (0.0046, 0.4546, 0.0013) (multiplicity 1)  3 O 2.42-2.58
La (0.1094, 0.4494, 0.8017) (multiplicity 1)  7 Se 2.98-3.19
La (0.1733, 0.2096, 0.6582) (multiplicity 1)  3 O 2.43-2.57
La (0.2574, 0.7154, 0.4966) (multiplicity 1)  3 O 2.42-2.57
La (0.3257, 0.4738, 0.3540) (multiplicity 1)  7 Se 2.97-3.18
La (0.4210, 0.9223, 0.1562) (multiplicity 1)  5 O 2.47-2.67
La (0.4316, 0.4670, 0.1552) (multiplicity 1)  3 O 2.42-2.57
La (0.5817, 0.8107, 0.8531) (multiplicity 1)  1 O 2.68
La (0.6786, 0.7169, 0.6516) (multiplicity 1)  3 O 2.37-2.54
La (0.7473, 0.2071, 0.5036) (multiplicity 1)  3 O 2.37-2.54
La (0.8479, 0.1126, 0.3029) (multiplicity 1)  1 O 2.70
Ti (0.2086, 0.9619, 0.5776) (multiplicity 1)  2 O 1.93-1.94
Ti (0.4859, 0.7194, 0.0391) (multiplicity 1)  2 O 1.95-2.00
Ti (0.5718, 0.1180, 0.8612) (multiplicity 1)  1 O 1.82
Ti (0.7208, 0.4619, 0.5773) (multiplicity 1)  2 O 1.95-1.96
Ti (0.8566, 0.8056, 0.2942) (multiplicity 1)  1 O 1.80
Ti (0.9450, 0.2016, 0.1175) (multiplicity 1)  2 O 1.96-1.99
Se (0.0269, 0.7436, 0.9572) (multiplicity 1)  2 Ti 2.68
Se (0.0536, 0.2363, 0.9051) (multiplicity 1)  2 Ti 2.62-2.64
Se (0.1094, 0.0149, 0.8023) (multiplicity 1)  2 Ti 2.68-2.73
Se (0.1234, 0.7161, 0.7629) (multiplicity 1)  5 La 3.02-3.18
Se (0.1799, 0.4913, 0.6582) (multiplicity 1)  2 Ti 2.72
Se (0.2567, 0.4324, 0.4968) (multiplicity 1)  2 Ti 2.70-2.73
Se (0.2991, 0.2079, 0.3926) (multiplicity 1)  5 La 3.01-3.18
Se (0.3302, 0.9087, 0.3529) (multiplicity 1)  2 Ti 2.70-2.71
Se (0.3792, 0.6864, 0.2509) (multiplicity 1)  2 Ti 2.63
Se (0.4026, 0.1792, 0.1989) (multiplicity 1)  2 Ti 2.67-2.68
Se (0.4840, 0.2253, 0.0337) (multiplicity 1)  2 Ti 2.70-2.72
Se (0.5631, 0.5226, 0.8905) (multiplicity 1)  5 La 2.98-3.25
Se (0.6299, 0.2764, 0.7595) (multiplicity 1)  1 Ti 2.72, 2 La 3.00
Se (0.6700, 0.9873, 0.6589) (multiplicity 1)  2 Ti 2.71-2.73
Se (0.7510, 0.9374, 0.4954) (multiplicity 1)  2 Ti 2.73
Se (0.8026, 0.6466, 0.3962) (multiplicity 1)  1 Ti 2.73, 2 La 2.99-3.00
Se (0.8744, 0.3989, 0.2658) (multiplicity 1)  5 La 2.97-3.23
Se (0.9428, 0.6952, 0.1226) (multiplicity 1)  2 Ti 2.70-2.71
O (0.2032, 0.7912, 0.6003) (multiplicity 1)  1 Ti 1.93
O (0.2223, 0.1337, 0.5548) (multiplicity 1)  1 Ti 1.94
O (0.4789, 0.8904, 0.0462) (multiplicity 1)  1 Ti 1.95
O (0.4825, 0.5414, 0.0423) (multiplicity 1)  1 Ti 2.00
O (0.5495, 0.9924, 0.9203) (multiplicity 1)  1 Ti 1.82
O (0.7019, 0.2905, 0.6037) (multiplicity 1)  1 Ti 1.95
O (0.7328, 0.6345, 0.5509) (multiplicity 1)  1 Ti 1.96
O (0.8868, 0.9298, 0.2351) (multiplicity 1)  1 Ti 1.80
O (0.9442, 0.0304, 0.1097) (multiplicity 1)  1 Ti 1.96
O (0.9490, 0.3789, 0.1146) (multiplicity 1)  1 Ti 1.99

(2)
La6Ti3Se9O5 | PBE | optimized geometry

Values from the calculation:
Total magnetic moment ... 0.2 Bohr magnetons per cell
Raw total energy ... -0.260 Ha/atom
Formation energy ... -2.475 eV per atom
Energy above the most stable polymorph in this dataset ... 62.6 kJ/mol of formula units
Calculated volume ... 1968.4 Å³ per cell

Unit cell a=44.8473 b=3.9283 c=11.2571 alpha=90.00 beta=97.00 gamma=90.00
Closest atoms and distances in Å follow each position.
Space group Cm (No. 8)
One atom of each set of equivalent atoms:
La (0.0000, 0.0000, 0.0000) (multiplicity 2)  5 O 2.44-2.72
La (0.9995, 0.0000, 0.4552) (multiplicity 2)  3 O 2.43-2.50
La (0.0733, 0.5000, 0.8097) (multiplicity 2)  1 O 2.65
La (0.0989, 0.0000, 0.4484) (multiplicity 2)  6 Se 2.93-3.06
La (0.1728, 0.0000, 0.2110) (multiplicity 2)  3 O 2.43-2.57
La (0.1761, 0.5000, 0.7182) (multiplicity 2)  3 O 2.38-2.54
La (0.2501, 0.5000, 0.2084) (multiplicity 2)  3 O 2.37-2.53
La (0.2536, 0.0000, 0.7167) (multiplicity 2)  3 O 2.43-2.57
La (0.3249, 0.0000, 0.4752) (multiplicity 2)  7 Se 2.93-3.18
La (0.3504, 0.5000, 0.1140) (multiplicity 2)  1 O 2.70, 2 Se 3.01
La (0.4243, 0.0000, 0.4684) (multiplicity 2)  3 O 2.43-2.50
La (0.4238, 0.0000, 0.9236) (multiplicity 2)  5 O 2.44-2.65
Ti (0.0713, 0.5000, 0.1193) (multiplicity 2)  1 O 1.82
Ti (0.2131, 0.0000, 0.9632) (multiplicity 2)  2 O 1.93-1.94
Ti (0.2132, 0.5000, 0.4633) (multiplicity 2)  2 O 1.95-1.96
Ti (0.3548, 0.5000, 0.8069) (multiplicity 2)  1 O 1.80
Ti (0.4431, 0.5000, 0.2029) (multiplicity 2)  2 O 1.96-1.99
Ti (0.4806, 0.0000, 0.7207) (multiplicity 2)  2 O 1.96-1.99
Se (0.0233, 0.0000, 0.7449) (multiplicity 2)  2 Ti 2.73, 2 La 3.01
Se (0.0494, 0.0000, 0.2376) (multiplicity 2)  2 Ti 2.63
Se (0.0566, 0.5000, 0.5239) (multiplicity 2)  5 La 2.93-3.25
Se (0.1007, 0.0000, 0.0162) (multiplicity 2)  2 Ti 2.71
Se (0.1204, 0.0000, 0.7175) (multiplicity 2)  5 La 3.06-3.18
Se (0.1221, 0.5000, 0.2777) (multiplicity 2)  1 Ti 2.72, 2 La 3.02
Se (0.1724, 0.5000, 0.9887) (multiplicity 2)  2 Ti 2.72
Se (0.1728, 0.0000, 0.4926) (multiplicity 2)  2 Ti 2.72
Se (0.2535, 0.0000, 0.4337) (multiplicity 2)  2 Ti 2.72
Se (0.2542, 0.5000, 0.9387) (multiplicity 2)  2 Ti 2.73
Se (0.3016, 0.5000, 0.6459) (multiplicity 2)  1 Ti 2.81, 4 La 3.02-3.09
Se (0.3056, 0.0000, 0.2092) (multiplicity 2)  5 La 3.01-3.17
Se (0.3254, 0.0000, 0.9101) (multiplicity 2)  2 Ti 2.70
Se (0.3672, 0.5000, 0.3997) (multiplicity 2)  5 La 2.93-3.25
Se (0.3744, 0.0000, 0.6860) (multiplicity 2)  2 Ti 2.60
Se (0.4005, 0.0000, 0.1787) (multiplicity 2)  2 Ti 2.73, 2 La 3.01
Se (0.4406, 0.5000, 0.6965) (multiplicity 2)  2 Ti 2.65
Se (0.4832, 0.0000, 0.2271) (multiplicity 2)  2 Ti 2.65
O (0.0417, 0.5000, 0.9937) (multiplicity 2)  1 Ti 1.82
O (0.2000, 0.5000, 0.2918) (multiplicity 2)  1 Ti 1.95
O (0.2017, 0.0000, 0.7925) (multiplicity 2)  1 Ti 1.93
O (0.2245, 0.0000, 0.1350) (multiplicity 2)  1 Ti 1.94
O (0.2264, 0.5000, 0.6358) (multiplicity 2)  1 Ti 1.96
O (0.3843, 0.5000, 0.9311) (multiplicity 2)  1 Ti 1.80
O (0.4446, 0.5000, 0.3802) (multiplicity 2)  1 Ti 1.99
O (0.4471, 0.5000, 0.0317) (multiplicity 2)  1 Ti 1.96
O (0.4767, 0.0000, 0.8919) (multiplicity 2)  1 Ti 1.96
O (0.4792, 0.0000, 0.5434) (multiplicity 2)  1 Ti 1.99

(3)
La4Ti2Se5O4 | PBE | optimized geometry

Values from the calculation:
Total magnetic moment ... 4.0 Bohr magnetons per cell
Raw total energy ... -0.269 Ha/atom
Formation energy ... -2.657 eV per atom
Calculated volume ... 2511.5 Å³ per cell

Unit cell a=4.0362 b=33.3005 c=18.6855 alpha=90.00 beta=90.00 gamma=90.00
Closest atoms and distances in Å follow each position.
Space group Cmc2_1 (No. 36)
One atom of each set of equivalent atoms:
La (0.0000, 0.0423, 0.9996) (multiplicity 4)  2 O 2.27
La (0.0000, 0.0658, 0.3705) (multiplicity 4)  3 O 2.44-2.49
La (0.0000, 0.0658, 0.6302) (multiplicity 4)  3 O 2.44-2.48
La (0.0000, 0.1842, 0.5000) (multiplicity 4)  4 O 2.36-2.50
La (0.0000, 0.2414, 0.8885) (multiplicity 4)  3 O 2.44-2.47
La (0.0000, 0.2425, 0.1120) (multiplicity 4)  3 O 2.42-2.45
La (0.0000, 0.3968, 0.2952) (multiplicity 4)  3 O 2.41-2.50
La (0.0000, 0.3969, 0.7064) (multiplicity 4)  3 O 2.40-2.48
Ti (0.0000, 0.1714, 0.3125) (multiplicity 4)  2 O 1.94-1.99
Ti (0.0000, 0.1711, 0.6880) (multiplicity 4)  2 O 1.95-1.98
Ti (0.0000, 0.3704, 0.4979) (multiplicity 4)  1 O 1.89
Ti (0.0000, 0.5000, 0.2499) (multiplicity 4)  2 O 1.95-1.96
Se (0.0000, 0.0268, 0.1646) (multiplicity 4)  2 Ti 2.72
Se (0.0000, 0.0266, 0.8345) (multiplicity 4)  2 Ti 2.71
Se (0.0000, 0.1300, 0.0901) (multiplicity 4)  2 Ti 2.65
Se (0.0000, 0.1356, 0.9052) (multiplicity 4)  2 Ti 2.67
Se (0.0000, 0.2927, 0.5007) (multiplicity 4)  1 Ti 2.59
Se (0.0000, 0.3021, 0.2658) (multiplicity 4)  2 Ti 2.64
Se (0.0000, 0.3024, 0.7334) (multiplicity 4)  2 Ti 2.65
Se (0.0000, 0.3636, 0.1002) (multiplicity 4)  2 Ti 2.85, 4 La 3.15-3.18
Se (0.0000, 0.3637, 0.8997) (multiplicity 4)  2 Ti 2.84, 4 La 3.15-3.18
Se (0.0000, 0.4666, 0.0001) (multiplicity 4)  6 La 3.23-3.34, 1 O 3.55
O (0.0000, 0.1162, 0.2719) (multiplicity 4)  1 Ti 1.99
O (0.0000, 0.1162, 0.7282) (multiplicity 4)  1 Ti 1.98
O (0.0000, 0.2162, 0.3787) (multiplicity 4)  1 Ti 1.94
O (0.0000, 0.2160, 0.6213) (multiplicity 4)  1 Ti 1.95
O (0.0000, 0.2792, 0.0002) (multiplicity 4)  4 La 2.36-2.44
O (0.0000, 0.4271, 0.4894) (multiplicity 4)  1 Ti 1.89
O (0.0000, 0.4489, 0.1988) (multiplicity 4)  1 Ti 1.95
O (0.0000, 0.4488, 0.8014) (multiplicity 4)  1 Ti 1.96

(4)
La2Si2O7 | PBE | optimized geometry

Values from the calculation:
Total magnetic moment ... 0.0 Bohr magnetons per cell
Raw total energy ... -0.304 Ha/atom
Formation energy ... -3.664 eV per atom
Calculated volume ... 601.1 Å³ per cell

Unit cell a=6.8773 b=6.9548 c=12.6424 alpha=83.98 beta=88.90 gamma=88.53
Closest atoms and distances in Å follow each position.
Space group P-1 (No. 2)
One atom of each set of equivalent atoms:
La (0.0763, 0.3333, 0.1543) (multiplicity 2)  5 O 2.39-2.67
La (0.2434, 0.6962, 0.3579) (multiplicity 2)  6 O 2.41-2.52
La (0.3237, 0.2605, 0.8638) (multiplicity 2)  6 O 2.43-2.70
La (0.3713, 0.8713, 0.6383) (multiplicity 2)  5 O 2.37-2.60
Si (0.1601, 0.1885, 0.4107) (multiplicity 2)  4 O 1.61-1.68
Si (0.1624, 0.8155, 0.0920) (multiplicity 2)  4 O 1.61-1.67
Si (0.2252, 0.3926, 0.6090) (multiplicity 2)  4 O 1.62-1.69
Si (0.4256, 0.7792, 0.8976) (multiplicity 2)  4 O 1.62-1.67
O (0.0040, 0.3270, 0.9481) (multiplicity 2)  1 Si 1.65
O (0.0266, 0.8636, 0.6553) (multiplicity 2)  1 Si 1.61
O (0.0612, 0.9924, 0.1471) (multiplicity 2)  1 Si 1.61
O (0.0717, 0.4110, 0.7087) (multiplicity 2)  1 Si 1.64
O (0.0932, 0.2824, 0.5232) (multiplicity 2)  2 Si 1.68-1.69
O (0.2910, 0.6269, 0.8427) (multiplicity 2)  1 Si 1.64
O (0.2961, 0.3424, 0.3364) (multiplicity 2)  1 Si 1.65
O (0.3011, 0.8964, 0.9874) (multiplicity 2)  2 Si 1.67
O (0.3037, 0.9987, 0.4453) (multiplicity 2)  1 Si 1.65
O (0.3052, 0.5924, 0.5474) (multiplicity 2)  1 Si 1.62
O (0.3092, 0.6765, 0.1713) (multiplicity 2)  1 Si 1.66
O (0.3768, 0.3134, 0.0476) (multiplicity 2)  1 Si 1.62
O (0.4031, 0.2487, 0.6547) (multiplicity 2)  1 Si 1.64
O (0.4684, 0.9574, 0.8057) (multiplicity 2)  1 Si 1.64